The following is a r2SCAN calculation of crystalline IF7 at its relaxed geometry, from the Materials Project.

```
16
Lattice="-2.352 -4.466 1.396 2.696 1.923 4.057 -7.178 4.592 2.593" Properties=species:S:1:pos:R:3 pbc="T T T"
F -0.141 -0.004 2.553
F -3.020 0.374 1.300
F -1.844 2.347 2.708
F -1.594 -1.700 3.573
F -5.144 3.035 6.005
F 0.324 -2.399 5.145
F 0.355 -0.222 4.703
F -2.181 0.139 6.078
F -5.179 1.102 2.338
F -6.774 2.652 4.209
F -4.391 -0.034 6.137
F -3.437 1.168 3.715
F -4.062 3.504 2.825
F -7.035 1.127 5.797
I -3.543 1.957 2.023
I 0.218 -1.610 3.453
```

Calculated values
The crystal system is orthorhombic. The value obtained for the uncorrected energy is -115.5 eV per cell. The volume is 230 Å³ per cell. For the calculated density, the calculation gives 3.75 g cm⁻³.